Record 1
Compound: Li4Ti5O12
Source: the Materials Project
Functional: GGA-PBE
Structure: relaxed

Properties
Energy above the most stable polymorph in this dataset in eV per formula unit: 0.00
Energy in eV for the cell shown: -331.02
Density in Mg/m³: 3.4
Total energy after the MP2020 corrections in eV for the cell shown: -347.51

POSCAR file:
```
Li4Ti5O12
1.0
4.210 4.222 0.000
-4.210 4.222 0.000
0.000 4.160 12.674
O Ti Li
24 10 8
Cartesian
2.285 4.040 4.205
-2.285 6.120 10.542
-2.285 8.565 8.468
-0.097 4.093 2.009
0.117 8.561 2.166
0.097 8.511 10.665
0.097 6.173 8.346
2.242 6.428 10.417
-0.020 10.349 12.529
-0.117 4.044 10.507
2.242 8.257 8.593
-0.117 10.641 8.503
-0.020 4.335 6.481
-2.242 6.177 2.256
1.944 6.293 6.497
-1.944 4.213 0.160
0.117 1.964 4.170
0.020 2.255 0.144
-2.242 4.348 4.080
0.020 8.269 6.193
1.944 8.392 12.513
2.285 6.485 2.132
-1.944 6.312 6.177
-0.097 6.431 4.328
0.035 10.524 10.687
-0.035 8.444 4.350
2.143 6.263 8.374
-2.143 6.341 4.300
0.000 6.302 6.337
0.035 4.160 8.324
-2.143 4.183 2.037
-0.035 2.080 1.987
0.000 4.222 0.000
2.143 8.422 10.637
1.082 9.463 7.389
1.051 5.262 3.168
-2.105 2.111 0.000
1.082 5.221 11.622
2.105 4.191 6.337
-1.082 7.383 1.052
-1.051 7.342 9.505
-1.082 3.141 5.285
```

Record 2
Compound: K2Se2N
Source: the Materials Project
Functional: GGA-PBE
Structure: relaxed

Properties
Energy in eV for the cell shown: -32.90
Density in Mg/m³: 2.7
Total energy after the MP2020 corrections in eV for the cell shown: -33.62

POSCAR file:
```
K2Se2N
1.0
-1.746 -0.204 6.157
1.557 -4.937 3.769
7.313 2.872 4.423
Se K N
4 4 2
Cartesian
2.465 1.283 6.447
4.660 -3.552 7.903
6.060 1.118 11.746
1.065 -3.387 2.603
6.682 -1.592 9.815
5.142 -0.737 5.991
0.442 -0.677 4.534
1.982 -1.532 8.359
2.340 -2.721 5.631
4.784 0.452 8.719
```

Record 3
Compound: Sb2F13
Source: the Materials Project
Functional: GGA-PBE
Structure: relaxed

Properties
Energy above the most stable polymorph in this dataset in eV per formula unit: 0.00
Energy in eV for the cell shown: -59.01
Density in Mg/m³: 3.2
Total energy after the MP2020 corrections in eV for the cell shown: -65.02

POSCAR file:
```
Sb2F13
1.0
5.347 -0.067 -0.401
-0.819 6.153 -3.034
-0.079 -0.074 7.675
F Sb
13 2
Cartesian
0.000 0.000 0.000
-0.147 5.626 2.062
0.744 5.382 -0.990
1.647 1.811 3.132
-0.013 2.503 0.976
2.802 4.201 1.108
4.596 0.387 2.178
2.139 4.745 3.756
2.310 1.268 0.484
3.705 0.630 5.230
1.649 2.653 5.639
4.462 3.509 3.264
2.799 3.359 -1.400
3.609 5.068 2.584
0.840 0.944 1.656
```

Record 4
Compound: FeS2
Source: the Materials Project
Functional: GGA-PBE
Structure: relaxed

Properties
Energy in eV for the cell shown: -67.86
Density in Mg/m³: 3.7
Total energy after the MP2020 corrections in eV for the cell shown: -71.89

POSCAR file:
```
FeS2
1.0
-1.963 4.236 -3.249
-4.868 -2.955 -0.912
-2.675 2.786 5.248
S Fe
8 4
Cartesian
-3.494 3.405 2.676
-6.012 0.662 -1.590
-6.364 2.868 1.498
-6.498 0.072 2.914
-3.008 3.995 -1.828
-3.142 1.199 -0.412
-3.915 -0.779 0.244
-5.591 4.846 0.842
-0.769 1.349 -0.265
-5.321 2.077 3.433
-4.185 1.990 -2.346
-3.868 5.673 2.264
```

density of number 4 (FeS2)? 3.7 Mg/m³

Number 3 is which compound? Sb2F13

What is the energy in the first record? -331.02 eV for the cell shown

Among the records above, which one has the lowest density? K2Se2N